Record 1
MgZn2Ni4O8: relaxed, PBE+U.

a b c (Å): 6.223 6.223 5.882
angles (deg): 117.90 117.90 95.32
Element x y z (fractional)
Mg 0.000 0.000 0.000
Zn 0.278 0.722 0.000
Zn 0.442 0.558 0.500
Ni 0.334 0.153 0.743
Ni 0.796 0.204 0.271
Ni 0.796 0.204 0.729
Ni 0.847 0.666 0.257
O 0.044 0.383 0.212
O 0.070 0.354 0.710
O 0.116 0.881 0.730
O 0.119 0.884 0.270
O 0.579 0.418 0.225
O 0.582 0.421 0.775
O 0.617 0.956 0.788
O 0.646 0.930 0.290

Summary:
* energy of formation from the pure elements: -1.2930 eV/atom
* DFT total energy: -4.704 eV/atom

***

Record 2
MgZn2Ni4O8: relaxed, PBE+U.

a b c (Å): 5.833 5.845 6.233
angles (deg): 90.09 117.80 119.92
Element x y z (fractional)
Mg 0.000 0.000 0.000
Zn 0.689 0.841 0.538
Zn 0.999 0.497 0.502
Ni 0.001 0.500 0.002
Ni 0.300 0.146 0.458
Ni 0.500 0.499 0.002
Ni 0.501 0.000 0.002
O 0.011 0.256 0.767
O 0.012 0.755 0.766
O 0.452 0.725 0.181
O 0.490 0.243 0.240
O 0.508 0.755 0.766
O 0.550 0.275 0.822
O 0.989 0.744 0.236
O 0.991 0.243 0.239

Summary:
* energy of formation from the pure elements: -1.3350 eV/atom
* DFT total energy: -4.746 eV/atom

***

Record 3
MgZn2Ni4O8: relaxed, PBE+U.

a b c (Å): 6.144 6.144 5.833
angles (deg): 116.59 116.59 59.20
Element x y z (fractional)
Mg 0.000 0.000 0.000
Zn 0.237 0.237 0.979
Zn 0.715 0.715 0.725
Ni 0.151 0.666 0.440
Ni 0.184 0.184 0.479
Ni 0.567 0.567 0.093
Ni 0.666 0.151 0.440
O 0.347 0.931 0.669
O 0.375 0.960 0.209
O 0.415 0.415 0.688
O 0.440 0.440 0.250
O 0.871 0.871 0.624
O 0.883 0.883 0.168
O 0.931 0.347 0.669
O 0.960 0.375 0.209

Summary:
* energy of formation from the pure elements: -1.2730 eV/atom
* DFT total energy: -4.684 eV/atom

***

Record 4
MgZn2Ni3O8: relaxed, PBE+U.

a b c (Å): 5.082 5.598 5.806
angles (deg): 62.19 86.97 82.92
Element x y z (fractional)
Mg 0.000 0.000 0.000
Zn 0.465 0.207 0.650
Zn 0.535 0.793 0.350
Ni 0.007 0.733 0.732
Ni 0.500 0.500 0.000
Ni 0.993 0.267 0.268
O 0.120 0.110 0.616
O 0.159 0.624 0.070
O 0.313 0.128 0.138
O 0.353 0.567 0.675
O 0.647 0.433 0.325
O 0.687 0.872 0.862
O 0.841 0.376 0.930
O 0.880 0.890 0.384

Summary:
* energy of formation from the pure elements: -1.3374 eV/atom
* DFT total energy: -4.761 eV/atom

***

Record 5
MgZn2Ni3O8: relaxed, PBE+U.

a b c (Å): 6.007 6.007 5.089
angles (deg): 90.26 90.26 57.58
Element x y z (fractional)
Mg 0.000 0.000 0.000
Zn 0.263 0.263 0.234
Zn 0.737 0.737 0.766
Ni 0.253 0.747 0.500
Ni 0.500 0.500 0.000
Ni 0.747 0.253 0.500
O 0.094 0.094 0.348
O 0.165 0.622 0.147
O 0.378 0.835 0.853
O 0.411 0.411 0.670
O 0.589 0.589 0.330
O 0.622 0.165 0.147
O 0.835 0.378 0.853
O 0.906 0.906 0.652

Summary:
* energy of formation from the pure elements: -1.3393 eV/atom
* DFT total energy: -4.762 eV/atom

***

Record 6
MgZnNi4O8: relaxed, PBE+U.

a b c (Å): 2.884 7.730 7.943
angles (deg): 102.67 100.42 100.71
Element x y z (fractional)
Mg 0.000 0.000 0.000
Zn 0.029 0.371 0.685
Ni 0.184 0.342 0.028
Ni 0.333 0.019 0.644
Ni 0.708 0.077 0.339
Ni 0.868 0.687 0.052
O 0.070 0.921 0.221
O 0.358 0.785 0.932
O 0.377 0.235 0.514
O 0.381 0.600 0.165
O 0.659 0.194 0.124
O 0.665 0.453 0.878
O 0.709 0.916 0.500
O 0.957 0.113 0.800

Summary:
* energy of formation from the pure elements: -1.1217 eV/atom
* DFT total energy: -4.686 eV/atom

***

Record 7
MgZn2Ni3O8: relaxed, PBE+U.

a b c (Å): 5.748 5.748 5.305
angles (deg): 96.96 96.96 60.21
Element x y z (fractional)
Mg 0.000 0.000 0.000
Zn 0.047 0.047 0.487
Zn 0.578 0.578 0.134
Ni 0.030 0.528 0.721
Ni 0.289 0.289 0.219
Ni 0.528 0.030 0.721
O 0.173 0.173 0.848
O 0.186 0.623 0.084
O 0.373 0.373 0.585
O 0.390 0.942 0.336
O 0.623 0.186 0.084
O 0.675 0.675 0.822
O 0.893 0.893 0.649
O 0.942 0.390 0.336

Summary:
* energy of formation from the pure elements: -1.2456 eV/atom
* DFT total energy: -4.669 eV/atom

***

Record 8
MgZnNi4O8: relaxed, PBE+U.

a b c (Å): 2.901 7.208 8.014
angles (deg): 106.38 100.37 101.57
Element x y z (fractional)
Mg 0.000 0.000 0.000
Zn 0.437 0.188 0.688
Ni 0.129 0.611 0.655
Ni 0.258 0.173 0.347
Ni 0.573 0.806 0.344
Ni 0.727 0.394 0.061
O 0.043 0.874 0.213
O 0.057 0.233 0.881
O 0.113 0.755 0.475
O 0.365 0.547 0.186
O 0.493 0.426 0.566
O 0.662 0.169 0.158
O 0.771 0.761 0.790
O 0.786 0.082 0.494

Summary:
* energy of formation from the pure elements: -1.1699 eV/atom
* DFT total energy: -4.735 eV/atom

***

Record 9
MgZnNi4O8: relaxed, PBE+U.

a b c (Å): 5.687 5.898 5.983
angles (deg): 61.67 89.94 61.18
Element x y z (fractional)
Mg 0.000 0.000 0.000
Zn 0.342 0.318 0.061
Ni 0.347 0.814 0.576
Ni 0.351 0.301 0.573
Ni 0.807 0.390 0.486
Ni 0.842 0.814 0.576
O 0.098 0.805 0.790
O 0.099 0.317 0.790
O 0.127 0.747 0.389
O 0.128 0.296 0.348
O 0.565 0.874 0.761
O 0.580 0.296 0.348
O 0.586 0.317 0.790
O 0.589 0.826 0.359

Summary:
* energy of formation from the pure elements: -1.2533 eV/atom
* DFT total energy: -4.818 eV/atom

***

Record 10
MgZn2Ni4O8: relaxed, PBE+U.

a b c (Å): 5.837 6.007 6.226
angles (deg): 61.49 62.40 89.95
Element x y z (fractional)
Mg 0.000 0.000 0.000
Zn 0.061 0.571 0.885
Zn 0.715 0.729 0.554
Ni 0.413 0.162 0.181
Ni 0.413 0.675 0.181
Ni 0.472 0.211 0.600
Ni 0.942 0.221 0.582
O 0.154 0.883 0.234
O 0.170 0.385 0.676
O 0.181 0.968 0.655
O 0.198 0.442 0.161
O 0.616 0.882 0.236
O 0.640 0.360 0.725
O 0.648 0.942 0.710
O 0.649 0.438 0.168

Summary:
* energy of formation from the pure elements: -1.2957 eV/atom
* DFT total energy: -4.707 eV/atom

***

Record 11
MgZnNi4O8: relaxed, PBE+U.

a b c (Å): 2.960 7.172 7.289
angles (deg): 79.29 78.40 78.41
Element x y z (fractional)
Mg 0.000 0.000 0.000
Zn 0.347 0.678 0.628
Ni 0.037 0.655 0.271
Ni 0.312 0.024 0.353
Ni 0.535 0.307 0.629
Ni 0.815 0.369 0.997
O 0.143 0.147 0.571
O 0.206 0.526 0.059
O 0.462 0.188 0.893
O 0.500 0.845 0.152
O 0.544 0.508 0.403
O 0.809 0.165 0.218
O 0.850 0.832 0.472
O 0.880 0.497 0.738

Summary:
* energy of formation from the pure elements: -1.1599 eV/atom
* DFT total energy: -4.724 eV/atom

***

Record 12
MgZnNi4O8: relaxed, PBE+U.

a b c (Å): 5.180 5.784 5.870
angles (deg): 60.52 73.97 89.79
Element x y z (fractional)
Mg 0.000 0.000 0.000
Zn 0.000 0.499 0.002
Ni 0.495 0.749 0.502
Ni 0.500 0.250 0.000
Ni 0.500 0.751 0.000
Ni 0.504 0.251 0.499
O 0.275 0.361 0.774
O 0.276 0.866 0.773
O 0.295 0.897 0.207
O 0.299 0.398 0.207
O 0.701 0.603 0.792
O 0.705 0.104 0.792
O 0.724 0.134 0.228
O 0.725 0.639 0.227

Summary:
* energy of formation from the pure elements: -1.3208 eV/atom
* DFT total energy: -4.885 eV/atom

***

Record 13
MgZn2Ni4O8: relaxed, PBE+U.

a b c (Å): 5.760 5.776 6.617
angles (deg): 114.08 114.26 90.30
Element x y z (fractional)
Mg 0.000 0.000 0.000
Zn 0.268 0.738 0.498
Zn 0.495 0.520 0.003
Ni 0.439 0.167 0.319
Ni 0.826 0.071 0.642
Ni 0.843 0.573 0.673
Ni 0.951 0.192 0.366
O 0.085 0.840 0.717
O 0.107 0.373 0.737
O 0.167 0.358 0.263
O 0.177 0.927 0.286
O 0.627 0.358 0.707
O 0.648 0.842 0.727
O 0.648 0.911 0.268
O 0.656 0.384 0.287

Summary:
* energy of formation from the pure elements: -1.0944 eV/atom
* DFT total energy: -4.505 eV/atom

***

Record 14
MgZn2Ni4O8: relaxed, PBE+U.

a b c (Å): 2.913 11.263 5.178
angles (deg): 90.00 98.76 90.00
Element x y z (fractional)
Mg 0.000 0.000 0.000
Zn 0.148 0.000 0.502
Zn 0.190 0.500 0.882
Ni 0.548 0.233 0.873
Ni 0.548 0.767 0.873
Ni 0.752 0.351 0.365
Ni 0.752 0.649 0.365
O 0.018 0.128 0.746
O 0.018 0.872 0.746
O 0.147 0.285 0.131
O 0.147 0.715 0.131
O 0.334 0.369 0.623
O 0.334 0.631 0.623
O 0.566 0.000 0.243
O 0.751 0.500 0.151

Summary:
* energy of formation from the pure elements: -1.2463 eV/atom
* DFT total energy: -4.657 eV/atom

***

Record 15
MgZn2Ni4O8: relaxed, PBE+U.

a b c (Å): 2.918 5.172 11.018
angles (deg): 81.09 87.74 74.19
Element x y z (fractional)
Mg 0.000 0.000 0.000
Zn 0.133 0.785 0.790
Zn 0.234 0.469 0.359
Ni 0.471 0.992 0.229
Ni 0.612 0.903 0.540
Ni 0.737 0.499 0.094
Ni 0.866 0.338 0.643
O 0.030 0.175 0.489
O 0.109 0.748 0.160
O 0.214 0.622 0.634
O 0.372 0.241 0.048
O 0.504 0.063 0.698
O 0.616 0.737 0.390
O 0.627 0.768 0.925
O 0.814 0.269 0.260

Summary:
* energy of formation from the pure elements: -1.3178 eV/atom
* DFT total energy: -4.729 eV/atom

***

Record 16
MgZn2Ni4O8: relaxed, PBE+U.

a b c (Å): 5.836 5.836 6.283
angles (deg): 118.99 118.99 61.00
Element x y z (fractional)
Mg 0.000 0.000 0.000
Zn 0.144 0.144 0.465
Zn 0.501 0.501 0.000
Ni 0.499 0.499 0.498
Ni 0.499 0.999 0.998
Ni 0.856 0.856 0.540
Ni 0.999 0.499 0.998
O 0.234 0.735 0.231
O 0.245 0.245 0.256
O 0.261 0.767 0.764
O 0.265 0.265 0.826
O 0.735 0.234 0.231
O 0.738 0.738 0.173
O 0.755 0.755 0.743
O 0.767 0.261 0.764

Summary:
* energy of formation from the pure elements: -1.3249 eV/atom
* DFT total energy: -4.736 eV/atom

***

Record 17
MgZn2Ni4O8: relaxed, PBE+U.

a b c (Å): 5.838 5.849 6.224
angles (deg): 90.03 117.83 119.92
Element x y z (fractional)
Mg 0.000 0.000 0.000
Zn 0.688 0.841 0.537
Zn 0.998 0.496 0.501
Ni 0.000 0.499 0.002
Ni 0.299 0.143 0.460
Ni 0.500 0.499 0.002
Ni 0.501 0.001 0.002
O 0.012 0.256 0.767
O 0.012 0.756 0.765
O 0.451 0.724 0.180
O 0.489 0.242 0.239
O 0.508 0.755 0.765
O 0.551 0.277 0.823
O 0.987 0.743 0.234
O 0.990 0.242 0.238

Summary:
* energy of formation from the pure elements: -1.3054 eV/atom
* DFT total energy: -4.716 eV/atom

***

Record 18
MgZn2Ni4O8: relaxed, PBE+U.

a b c (Å): 2.991 9.541 5.551
angles (deg): 90.00 104.34 90.00
Element x y z (fractional)
Mg 0.000 0.000 0.000
Zn 0.256 0.000 0.447
Zn 0.347 0.500 0.686
Ni 0.614 0.322 0.211
Ni 0.614 0.678 0.211
Ni 0.879 0.214 0.729
Ni 0.879 0.786 0.729
O 0.245 0.229 0.452
O 0.245 0.771 0.452
O 0.504 0.150 0.997
O 0.504 0.850 0.997
O 0.721 0.500 0.423
O 0.847 0.000 0.647
O 0.975 0.385 0.938
O 0.975 0.615 0.938

Summary:
* energy of formation from the pure elements: -1.1679 eV/atom
* DFT total energy: -4.579 eV/atom

***

ΔE to the lowest computed polymorph? In order: 83.2 41.2 103.2 1.9 0.0 200.9 93.7 152.7 69.4 80.5 162.8 1.9 281.8 129.9 58.4 51.3 70.8 208.3 meV per atom.